# 1
Na2YAlSiS2O12: relaxed, GGA-PBE.

Calculated values
Theoretical density (Mg/m³): 2.82
Symmetry: P1 (1)
E (MP2020) (eV per cell): -816.68
Energy of formation (meV/atom): -2641

abc: 8.898 8.922 22.864
angles: 88.75 89.33 60.31
Atoms (fractional coordinates):
Na 0.000 0.000 0.000
Na 0.000 0.379 0.494
Na 0.296 0.038 0.410
Na 0.306 0.027 0.922
Na 0.322 0.710 0.846
Na 0.326 0.334 0.342
Na 0.656 0.356 0.248
Na 0.669 0.353 0.751
Na 0.934 0.391 0.168
Na 0.943 0.050 0.677
Na 0.977 0.708 0.085
Na 0.994 0.672 0.576
Y 0.268 0.049 0.263
Y 0.277 0.055 0.772
Y 0.300 0.056 0.555
Y 0.618 0.379 0.593
Y 0.640 0.361 0.906
Y 0.961 0.695 0.729
Al 0.294 0.001 0.068
Al 0.613 0.362 0.097
Al 0.644 0.372 0.395
Al 0.949 0.726 0.235
Al 0.973 0.692 0.427
Al 0.993 0.696 0.937
Si 0.331 0.389 0.484
Si 0.338 0.664 0.000
Si 0.943 0.435 0.330
Si 0.957 0.995 0.835
Si 0.979 0.040 0.160
Si 0.986 0.347 0.657
S 0.245 0.699 0.331
S 0.253 0.413 0.840
S 0.300 0.332 0.161
S 0.304 0.741 0.665
S 0.590 0.739 0.161
S 0.598 0.037 0.664
S 0.619 0.066 0.006
S 0.641 0.665 0.487
S 0.674 0.706 0.840
S 0.688 0.991 0.334
S 0.917 0.067 0.490
S 0.944 0.372 0.004
O 0.047 0.106 0.216
O 0.084 0.256 0.596
O 0.090 0.224 0.714
O 0.093 0.049 0.491
O 0.115 0.004 0.106
O 0.120 0.219 0.013
O 0.125 0.245 0.327
O 0.131 0.556 0.481
O 0.136 0.692 0.995
O 0.138 0.738 0.664
O 0.140 0.502 0.165
O 0.142 0.721 0.384
O 0.142 0.998 0.840
O 0.144 0.507 0.891
O 0.154 0.687 0.278
O 0.176 0.502 0.784
O 0.272 0.851 0.328
O 0.275 0.239 0.841
O 0.277 0.232 0.114
O 0.301 0.842 0.613
O 0.304 0.217 0.483
O 0.306 0.862 0.010
O 0.316 0.819 0.720
O 0.335 0.237 0.218
O 0.404 0.404 0.547
O 0.416 0.540 0.332
O 0.423 0.405 0.842
O 0.430 0.605 0.936
O 0.450 0.564 0.664
O 0.452 0.357 0.151
O 0.456 0.523 0.050
O 0.464 0.368 0.430
O 0.466 0.049 0.019
O 0.479 0.832 0.490
O 0.490 0.813 0.215
O 0.497 0.854 0.111
O 0.503 0.867 0.840
O 0.509 0.034 0.718
O 0.511 0.025 0.612
O 0.512 0.010 0.331
O 0.584 0.164 0.949
O 0.607 0.198 0.663
O 0.614 0.562 0.154
O 0.626 0.565 0.439
O 0.642 0.557 0.840
O 0.657 0.160 0.052
O 0.666 0.168 0.336
O 0.676 0.566 0.543
O 0.761 0.693 0.784
O 0.764 0.723 0.165
O 0.774 0.405 0.340
O 0.777 0.892 0.662
O 0.779 0.700 0.891
O 0.779 0.885 0.385
O 0.780 0.895 0.000
O 0.785 0.913 0.279
O 0.790 0.694 0.480
O 0.791 0.216 0.145
O 0.792 0.188 0.838
O 0.803 0.348 0.660
O 0.824 0.197 0.442
O 0.828 0.132 0.546
O 0.830 0.402 0.055
O 0.875 0.324 0.952
O 0.928 0.551 0.269
O 0.931 0.899 0.480
O 0.954 0.530 0.991
O 0.955 0.914 0.771
O 0.967 0.865 0.178
O 0.969 0.535 0.659
O 0.970 0.869 0.892
O 0.975 0.525 0.386

# 2
Na2Y4Al4SiS11O48: relaxed, GGA-PBE.

Calculated values
Theoretical density (Mg/m³): 2.73
Symmetry: P1 (1)
E (MP2020) (eV per cell): -1520.62
Energy of formation (meV/atom): -2499

abc: 8.733 15.112 22.907
angles: 89.75 89.94 89.96
Atoms (fractional coordinates):
Na 0.000 0.000 0.000
Na 0.004 0.999 0.488
Na 0.020 0.662 0.313
Na 0.457 0.160 0.838
Na 0.486 0.502 0.488
Na 0.493 0.494 0.993
Y 0.000 0.999 0.856
Y 0.001 0.659 0.459
Y 0.005 0.318 0.816
Y 0.008 0.997 0.641
Y 0.486 0.159 0.462
Y 0.487 0.161 0.679
Y 0.487 0.819 0.287
Y 0.489 0.503 0.334
Y 0.491 0.830 0.504
Y 0.492 0.501 0.641
Y 0.994 0.658 0.686
Y 0.998 0.314 0.511
Al 0.000 0.012 0.138
Al 0.489 0.165 0.982
Al 0.494 0.496 0.849
Al 0.497 0.159 0.173
Al 0.497 0.479 0.142
Al 0.497 0.815 0.012
Al 0.499 0.823 0.816
Al 0.989 0.335 0.006
Al 0.992 0.323 0.295
Al 0.993 0.998 0.329
Al 0.995 0.659 0.160
Al 0.995 0.660 0.972
Si 0.153 0.182 0.923
Si 0.194 0.152 0.576
Si 0.355 0.672 0.401
S 0.109 0.852 0.227
S 0.141 0.511 0.573
S 0.142 0.804 0.574
S 0.146 0.482 0.916
S 0.150 0.140 0.234
S 0.190 0.494 0.228
S 0.217 0.814 0.918
S 0.275 0.323 0.391
S 0.283 0.660 0.073
S 0.307 0.979 0.752
S 0.324 0.973 0.393
S 0.350 0.016 0.079
S 0.356 0.306 0.079
S 0.357 0.353 0.754
S 0.359 0.644 0.758
S 0.621 0.963 0.918
S 0.633 0.317 0.570
S 0.646 0.339 0.233
S 0.646 0.680 0.913
S 0.649 0.013 0.572
S 0.659 0.632 0.221
S 0.692 0.332 0.917
S 0.699 0.664 0.570
S 0.717 0.007 0.228
S 0.777 0.494 0.754
S 0.779 0.161 0.071
S 0.794 0.843 0.394
S 0.825 0.849 0.750
S 0.840 0.146 0.746
S 0.849 0.802 0.066
S 0.853 0.464 0.392
S 0.854 0.514 0.066
S 0.857 0.176 0.389
O 0.040 0.892 0.281
O 0.041 0.762 0.220
O 0.061 0.889 0.574
O 0.064 0.246 0.970
O 0.064 0.426 0.572
O 0.072 0.085 0.925
O 0.072 0.106 0.180
O 0.073 0.569 0.926
O 0.079 0.445 0.863
O 0.079 0.910 0.175
O 0.085 0.228 0.246
O 0.087 0.239 0.576
O 0.088 0.065 0.568
O 0.091 0.756 0.522
O 0.092 0.417 0.237
O 0.096 0.564 0.523
O 0.097 0.574 0.212
O 0.105 0.755 0.628
O 0.108 0.556 0.630
O 0.118 0.891 0.912
O 0.119 0.734 0.925
O 0.123 0.424 0.968
O 0.126 0.076 0.282
O 0.137 0.223 0.857
O 0.155 0.981 0.383
O 0.170 0.664 0.394
O 0.175 0.324 0.338
O 0.177 0.011 0.087
O 0.180 0.644 0.023
O 0.186 0.334 0.444
O 0.187 0.681 0.126
O 0.190 0.351 0.753
O 0.193 0.653 0.751
O 0.194 0.321 0.070
O 0.201 0.001 0.800
O 0.222 0.967 0.697
O 0.271 0.520 0.282
O 0.275 0.843 0.233
O 0.280 0.143 0.639
O 0.306 0.474 0.182
O 0.307 0.157 0.519
O 0.308 0.818 0.573
O 0.310 0.499 0.570
O 0.311 0.827 0.972
O 0.316 0.147 0.223
O 0.316 0.495 0.909
O 0.317 0.801 0.867
O 0.338 0.174 0.933
O 0.342 0.927 0.450
O 0.362 0.240 0.391
O 0.375 0.077 0.029
O 0.377 0.579 0.083
O 0.380 0.247 0.131
O 0.381 0.398 0.387
O 0.386 0.737 0.064
O 0.386 0.895 0.765
O 0.388 0.582 0.807
O 0.390 0.923 0.345
O 0.395 0.060 0.395
O 0.401 0.725 0.459
O 0.409 0.397 0.701
O 0.409 0.927 0.069
O 0.411 0.400 0.808
O 0.416 0.715 0.339
O 0.417 0.053 0.748
O 0.421 0.262 0.756
O 0.422 0.055 0.132
O 0.427 0.609 0.703
O 0.431 0.729 0.770
O 0.432 0.574 0.407
O 0.434 0.395 0.088
O 0.440 0.267 0.029
O 0.551 0.403 0.570
O 0.553 0.922 0.865
O 0.557 0.932 0.572
O 0.559 0.053 0.924
O 0.567 0.374 0.284
O 0.567 0.715 0.967
O 0.578 0.580 0.175
O 0.579 0.252 0.218
O 0.582 0.590 0.904
O 0.585 0.409 0.909
O 0.588 0.268 0.623
O 0.588 0.589 0.570
O 0.588 0.907 0.970
O 0.589 0.720 0.222
O 0.594 0.270 0.516
O 0.606 0.251 0.932
O 0.609 0.067 0.623
O 0.616 0.085 0.222
O 0.618 0.748 0.573
O 0.620 0.740 0.863
O 0.624 0.062 0.516
O 0.624 0.402 0.182
O 0.626 0.927 0.236
O 0.648 0.585 0.277
O 0.660 0.841 0.764
O 0.671 0.500 0.806
O 0.673 0.156 0.752
O 0.679 0.170 0.122
O 0.680 0.805 0.058
O 0.681 0.137 0.019
O 0.685 0.463 0.391
O 0.687 0.500 0.076
O 0.691 0.166 0.393
O 0.691 0.488 0.699
O 0.693 0.831 0.344
O 0.710 0.856 0.449
O 0.775 0.315 0.863
O 0.787 0.657 0.516
O 0.790 0.967 0.913
O 0.798 0.335 0.572
O 0.798 0.653 0.623
O 0.799 0.357 0.965
O 0.812 0.996 0.174
O 0.813 0.329 0.242
O 0.813 0.673 0.923
O 0.813 0.990 0.574
O 0.820 0.023 0.279
O 0.825 0.640 0.208
O 0.843 0.900 0.695
O 0.864 0.243 0.061
O 0.872 0.573 0.014
O 0.872 0.575 0.753
O 0.873 0.416 0.760
O 0.879 0.744 0.118
O 0.881 0.100 0.692
O 0.888 0.924 0.384
O 0.889 0.760 0.742
O 0.890 0.084 0.079
O 0.892 0.095 0.798
O 0.894 0.236 0.340
O 0.894 0.764 0.398
O 0.902 0.423 0.446
O 0.904 0.891 0.799
O 0.908 0.557 0.388
O 0.910 0.892 0.073
O 0.912 0.418 0.339
O 0.913 0.234 0.745
O 0.921 0.209 0.445
O 0.926 0.761 0.014
O 0.927 0.426 0.056
O 0.931 0.089 0.378
O 0.932 0.555 0.116